No. 1
DFT (PBE-GGA) results for crystalline Y4MgIr at its relaxed geometry.

Results
- Total magnetization: 1.3 μB/cell
- Total DFT energy (no corrections): -621.671 eV per cell
- Formation energy from the elements: -0.425 eV/atom

Lattice parameters (Å, degrees): 13.7840 13.7840 13.7840 90.00 90.00 90.00
Space group F-43m (No. 216)
Asymmetric unit:
1 Y 0.0000 0.0000 0.1872 (multiplicity 24)
2 Y 0.0634 0.2500 0.2500 (multiplicity 24)
3 Y 0.1526 0.1526 0.6526 (multiplicity 16)
4 Mg 0.0793 0.0793 0.4207 (multiplicity 16)
5 Ir 0.1415 0.1415 0.8585 (multiplicity 16)

No. 2
DFT (PBE-GGA) results for crystalline LiBi2O4 at its relaxed geometry.

Results
- Total magnetization: 0.0 μB/cell
- Total DFT energy (no corrections): -153.442 eV per cell
- Formation energy from the elements: -1.661 eV/atom
- Distance to the lowest polymorph of the same formula: 0.0 meV/atom

Lattice parameters (Å, degrees): 5.5160 6.1233 11.5932 90.00 90.00 90.00
Space group Pbca (No. 61)
Asymmetric unit:
1 Li 0.0000 0.0000 0.0000 (multiplicity 4)
2 Bi 0.0089 0.0978 0.3603 (multiplicity 8)
3 O 0.1593 0.5591 0.6878 (multiplicity 8)
4 O 0.1781 0.6762 0.9646 (multiplicity 8)